Entry from the Materials Project database: a relaxed Mg7Sc crystal (PBE).

## Properties
**Raw total energy**: -2.18 eV per atom
**Energy of formation from the pure elements**: 0.02 eV/atom

Cell lengths 9.0619, 9.0619, 9.0619 Å; angles 90.00, 90.00, 90.00 degrees
With the nearest neighbours (Å) after each atom.
Space group Fm-3m (No. 225)
Asymmetric unit:
Mg 0.0000 0.0000 0.0000  12 Mg 3.20
Mg 0.0000 0.2500 0.2500  10 Mg 3.20, 2 Sc 3.20
Sc 0.0000 0.0000 0.5000  12 Mg 3.20

=====

Entry from the Materials Project database: a relaxed Mg5Sc crystal (PBE).

## Properties
**Raw total energy**: -2.38 eV per atom
**Energy of formation from the pure elements**: 0.01 eV/atom

Cell lengths 11.9410, 3.1968, 7.5770 Å; angles 90.00, 105.04, 90.00 degrees
With the nearest neighbours (Å) after each atom.
Space group Cm (No. 8)
Asymmetric unit:
Mg 0.0000 0.0000 0.0000  2 Sc 3.18, 10 Mg 3.18-3.24
Mg 0.0558 0.0000 0.6114  10 Mg 3.18-3.23, 2 Sc 3.24
Mg 0.1647 0.5000 0.3314  9 Mg 3.19-3.21, 3 Sc 3.22-3.23
Mg 0.2211 0.5000 0.9422  10 Mg 3.19-3.24, 2 Sc 3.19
Mg 0.3330 0.0000 0.6628  1 Sc 3.18, 11 Mg 3.20-3.23
Sc 0.3868 0.0000 0.2728  10 Mg 3.18-3.24, 2 Sc 3.20